CaH2 | PBE | relaxed

Output
Formation energy, eV/atom: -0.6178
SG: Cmcm
Spin magnetization, μB per cell: 0.0
Calculated total energy, eV per cell: -20.57

The structure in POSCAR format:
```
CaH2
1.0
-3.5641 -0.7596 -1.1710
2.0176 -2.5986 1.9563
-1.9245 1.9589 4.5868
H Ca
4 2
Direct
0.1689 0.8311 0.7500 H
0.5000 0.5000 0.0000 H
0.8311 0.1689 0.2500 H
0.5000 0.5000 0.5000 H
0.1622 0.8378 0.2500 Ca
0.8378 0.1622 0.7500 Ca
```